Material: HoCu3S3
Method: DFT, r2SCAN
State: relaxed

Structure (CIF):
```
data_HoCu3S3
_cell_length_a 7.3954
_cell_length_b 7.3954
_cell_length_c 7.3954
_cell_angle_alpha 53.34
_cell_angle_beta 53.34
_cell_angle_gamma 53.34
_space_group_name_H-M_alt 'P 1'
_space_group_IT_number 1
_space_group_name_Hall 'P 1'
loop_
_atom_site_label
_atom_site_type_symbol
_atom_site_fract_x
_atom_site_fract_y
_atom_site_fract_z
Ho1 Ho 0.8335 0.8335 0.8335
Ho2 Ho 0.1665 0.1665 0.1665
Cu1 Cu 0.2818 0.9640 0.6239
Cu2 Cu 0.6239 0.2818 0.9640
Cu3 Cu 0.9640 0.6239 0.2818
Cu4 Cu 0.0360 0.3761 0.7182
Cu5 Cu 0.3761 0.7182 0.0360
Cu6 Cu 0.7182 0.0360 0.3761
S1 S 0.0841 0.7479 0.4175
S2 S 0.7479 0.4175 0.0841
S3 S 0.4175 0.0841 0.7479
S4 S 0.5825 0.9159 0.2521
S5 S 0.2521 0.5825 0.9159
S6 S 0.9159 0.2521 0.5825
```

## Properties
SG = No. 148

Material: HoCuSb2
Method: DFT, r2SCAN
State: relaxed

Structure (CIF):
```
data_HoCuSb2
_cell_length_a 4.2849
_cell_length_b 4.2849
_cell_length_c 9.7975
_cell_angle_alpha 90.00
_cell_angle_beta 90.00
_cell_angle_gamma 90.00
_space_group_name_H-M_alt 'P 1'
_space_group_IT_number 1
_space_group_name_Hall 'P 1'
loop_
_atom_site_label
_atom_site_type_symbol
_atom_site_fract_x
_atom_site_fract_y
_atom_site_fract_z
Ho1 Ho 0.7500 0.7500 0.7525
Ho2 Ho 0.2500 0.2500 0.2475
Cu1 Cu 0.7500 0.2500 0.5000
Cu2 Cu 0.2500 0.7500 0.5000
Sb1 Sb 0.7500 0.7500 0.3417
Sb2 Sb 0.2500 0.2500 0.6583
Sb3 Sb 0.7500 0.2500 0.0000
Sb4 Sb 0.2500 0.7500 0.0000
```

## Properties
SG = No. 129

Material: HoCu2Si2
Method: DFT, r2SCAN
State: relaxed

Structure (CIF):
```
data_HoCu2Si2
_cell_length_a 3.9324
_cell_length_b 3.9324
_cell_length_c 5.6943
_cell_angle_alpha 110.20
_cell_angle_beta 110.20
_cell_angle_gamma 90.00
_space_group_name_H-M_alt 'P 1'
_space_group_IT_number 1
_space_group_name_Hall 'P 1'
loop_
_atom_site_label
_atom_site_type_symbol
_atom_site_fract_x
_atom_site_fract_y
_atom_site_fract_z
Ho1 Ho 0.0000 0.0000 0.0000
Cu1 Cu 0.2500 0.7500 0.5000
Cu2 Cu 0.7500 0.2500 0.5000
Si1 Si 0.6175 0.6175 0.2350
Si2 Si 0.3825 0.3825 0.7650
```

## Properties
SG = No. 139

Material: Ho3Cu4Si4
Method: DFT, r2SCAN
State: relaxed

Structure (CIF):
```
data_Ho3Cu4Si4
_cell_length_a 4.1032
_cell_length_b 6.4981
_cell_length_c 7.7978
_cell_angle_alpha 114.63
_cell_angle_beta 105.29
_cell_angle_gamma 90.00
_space_group_name_H-M_alt 'P 1'
_space_group_IT_number 1
_space_group_name_Hall 'P 1'
loop_
_atom_site_label
_atom_site_type_symbol
_atom_site_fract_x
_atom_site_fract_y
_atom_site_fract_z
Ho1 Ho 0.8695 0.8696 0.7395
Ho2 Ho 0.1305 0.1304 0.2605
Ho3 Ho 0.0000 0.5000 0.0000
Cu1 Cu 0.3295 0.5206 0.6622
Cu2 Cu 0.6707 0.8591 0.3385
Cu3 Cu 0.3293 0.1409 0.6615
Cu4 Cu 0.6705 0.4794 0.3378
Si1 Si 0.5001 0.8153 0.0002
Si2 Si 0.4999 0.1847 0.9998
Si3 Si 0.7833 0.2841 0.5680
Si4 Si 0.2167 0.7159 0.4320
```

## Properties
SG = No. 12

Material: HoTmCu2
Method: DFT, r2SCAN
State: relaxed

Structure (CIF):
```
data_HoTmCu2
_cell_length_a 4.8150
_cell_length_b 4.8150
_cell_length_c 4.8150
_cell_angle_alpha 60.00
_cell_angle_beta 60.00
_cell_angle_gamma 60.00
_space_group_name_H-M_alt 'P 1'
_space_group_IT_number 1
_space_group_name_Hall 'P 1'
loop_
_atom_site_label
_atom_site_type_symbol
_atom_site_fract_x
_atom_site_fract_y
_atom_site_fract_z
Ho1 Ho 0.2500 0.2500 0.2500
Tm1 Tm 0.7500 0.7500 0.7500
Cu1 Cu 0.0000 0.0000 0.0000
Cu2 Cu 0.5000 0.5000 0.5000
```

## Properties
SG = No. 225

Material: YHoCu2
Method: DFT, r2SCAN
State: relaxed

Structure (CIF):
```
data_YHoCu2
_cell_length_a 4.8687
_cell_length_b 4.8687
_cell_length_c 4.8687
_cell_angle_alpha 60.00
_cell_angle_beta 60.00
_cell_angle_gamma 60.00
_space_group_name_H-M_alt 'P 1'
_space_group_IT_number 1
_space_group_name_Hall 'P 1'
loop_
_atom_site_label
_atom_site_type_symbol
_atom_site_fract_x
_atom_site_fract_y
_atom_site_fract_z
Y1 Y 0.7500 0.7500 0.7500
Ho1 Ho 0.2500 0.2500 0.2500
Cu1 Cu 0.5000 0.5000 0.5000
Cu2 Cu 0.0000 0.0000 0.0000
```

## Properties
SG = No. 225

Material: CuI
Method: DFT, r2SCAN
State: relaxed

Structure (CIF):
```
data_CuI
_cell_length_a 14.1533
_cell_length_b 14.1533
_cell_length_c 14.1533
_cell_angle_alpha 17.26
_cell_angle_beta 17.26
_cell_angle_gamma 17.26
_space_group_name_H-M_alt 'P 1'
_space_group_IT_number 1
_space_group_name_Hall 'P 1'
loop_
_atom_site_label
_atom_site_type_symbol
_atom_site_fract_x
_atom_site_fract_y
_atom_site_fract_z
Cu1 Cu 0.7297 0.7297 0.7297
Cu2 Cu 0.5625 0.5625 0.5625
Cu3 Cu 0.3130 0.3130 0.3130
Cu4 Cu 0.1461 0.1461 0.1461
I1 I 0.7918 0.7918 0.7918
I2 I 0.6249 0.6249 0.6249
I3 I 0.3751 0.3751 0.3751
I4 I 0.2082 0.2082 0.2082
```

## Properties
SG = No. 160

Material: CuI2
Method: DFT, r2SCAN
State: relaxed

Structure (CIF):
```
data_CuI2
_cell_length_a 3.8258
_cell_length_b 3.8258
_cell_length_c 8.9245
_cell_angle_alpha 90.00
_cell_angle_beta 90.00
_cell_angle_gamma 90.00
_space_group_name_H-M_alt 'P 1'
_space_group_IT_number 1
_space_group_name_Hall 'P 1'
loop_
_atom_site_label
_atom_site_type_symbol
_atom_site_fract_x
_atom_site_fract_y
_atom_site_fract_z
Cu1 Cu 0.5000 0.5000 0.0000
I1 I 0.5000 0.5000 0.2643
I2 I 0.5000 0.5000 0.7357
```

## Properties
SG = No. 123

Material: CuI
Method: DFT, r2SCAN
State: relaxed

Structure (CIF):
```
data_CuI
_cell_length_a 5.2639
_cell_length_b 5.2639
_cell_length_c 4.3070
_cell_angle_alpha 90.00
_cell_angle_beta 90.00
_cell_angle_gamma 89.66
_space_group_name_H-M_alt 'P 1'
_space_group_IT_number 1
_space_group_name_Hall 'P 1'
loop_
_atom_site_label
_atom_site_type_symbol
_atom_site_fract_x
_atom_site_fract_y
_atom_site_fract_z
Cu1 Cu 0.4204 0.5796 0.7500
Cu2 Cu 0.5796 0.4204 0.2500
I1 I 0.7700 0.2300 0.7500
I2 I 0.2300 0.7700 0.2500
```

## Properties
SG = No. 63

Material: CuI4
Method: DFT, r2SCAN
State: relaxed

Structure (CIF):
```
data_CuI4
_cell_length_a 7.6553
_cell_length_b 7.6575
_cell_length_c 8.3173
_cell_angle_alpha 140.27
_cell_angle_beta 140.26
_cell_angle_gamma 47.67
_space_group_name_H-M_alt 'P 1'
_space_group_IT_number 1
_space_group_name_Hall 'P 1'
loop_
_atom_site_label
_atom_site_type_symbol
_atom_site_fract_x
_atom_site_fract_y
_atom_site_fract_z
Cu1 Cu 0.0149 0.0149 0.0000
I1 I 0.3531 0.3530 0.4657
I2 I 0.8885 0.8884 0.5347
I3 I 0.1270 0.6167 0.9997
I4 I 0.6166 0.1270 0.9999
```

## Properties
Excess energy over the best structure of this formula in the dataset = 0 meV per atom
SG = No. 8

Material: CuI
Method: DFT, r2SCAN
State: relaxed

Structure (CIF):
```
data_CuI
_cell_length_a 4.1306
_cell_length_b 4.1306
_cell_length_c 22.3669
_cell_angle_alpha 90.00
_cell_angle_beta 90.00
_cell_angle_gamma 120.00
_space_group_name_H-M_alt 'P 1'
_space_group_IT_number 1
_space_group_name_Hall 'P 1'
loop_
_atom_site_label
_atom_site_type_symbol
_atom_site_fract_x
_atom_site_fract_y
_atom_site_fract_z
Cu1 Cu 0.0000 0.0000 0.7798
Cu2 Cu 0.3333 0.6667 0.0535
Cu3 Cu 0.0000 0.0000 0.4469
Cu4 Cu 0.0000 0.0000 0.1136
Cu5 Cu 0.6667 0.3333 0.7187
Cu6 Cu 0.3333 0.6667 0.3868
I1 I 0.0000 0.0000 0.3320
I2 I 0.0000 0.0000 0.6645
I3 I 0.3333 0.6667 0.1687
I4 I 0.3333 0.6667 0.5021
I5 I 0.6667 0.3333 0.8346
I6 I 0.0000 0.0000 0.9987
```

## Properties
SG = No. 156

Material: CuI
Method: DFT, r2SCAN
State: relaxed

Structure (CIF):
```
data_CuI
_cell_length_a 4.1286
_cell_length_b 4.1286
_cell_length_c 7.4781
_cell_angle_alpha 89.99
_cell_angle_beta 90.01
_cell_angle_gamma 119.98
_space_group_name_H-M_alt 'P 1'
_space_group_IT_number 1
_space_group_name_Hall 'P 1'
loop_
_atom_site_label
_atom_site_type_symbol
_atom_site_fract_x
_atom_site_fract_y
_atom_site_fract_z
Cu1 Cu 0.3333 0.6667 0.8479
Cu2 Cu 0.0000 0.0000 0.6680
I1 I 0.0000 0.0000 0.0127
I2 I 0.3333 0.6667 0.5033
```

## Properties
SG = No. 164

Energy relative to the elements, record by record: -1.005; -0.667; -0.625; -0.684; -0.285; -0.245; -0.191; 0.128; -0.140; -0.047; -0.198; -0.198 eV/atom